## Na7Y2Zr2Si3P3O24 (PBE-GGA)

Data for a geometry-optimized Na7Y2Zr2Si3P3O24 structure.

As for the magnetic moment: 0.0 μB per formula unit. The value obtained for the MP2020-corrected energy is -950.38 eV per cell. The uncorrected energy is -7.3245 eV/atom. The calculation puts the energy of formation at -3.079 eV/atom.

Unit cell a=9.365 b=9.367 c=23.461 alpha=89.94 beta=89.97 gamma=60.09
Space group P1 (No. 1)
Asymmetric unit:
Na 0.000 0.000 0.000
Na 0.000 0.357 0.504
Na 0.257 0.365 0.002
Na 0.260 0.737 0.505
Na 0.295 0.398 0.670
Na 0.298 0.038 0.917
Na 0.299 0.031 0.419
Na 0.325 0.700 0.834
Na 0.336 0.325 0.333
Na 0.597 0.705 0.334
Na 0.621 0.370 0.251
Na 0.630 0.365 0.752
Na 0.634 0.999 0.503
Na 0.636 0.729 0.004
Na 0.655 0.032 0.170
Na 0.938 0.396 0.167
Na 0.940 0.027 0.670
Na 0.961 0.699 0.588
Na 0.962 0.063 0.336
Na 0.971 0.331 0.836
Na 0.971 0.690 0.087
Y 0.295 0.031 0.573
Y 0.298 0.034 0.071
Y 0.305 0.028 0.265
Y 0.636 0.359 0.402
Y 0.962 0.703 0.437
Y 0.966 0.695 0.933
Zr 0.297 0.032 0.769
Zr 0.626 0.375 0.105
Zr 0.637 0.353 0.898
Zr 0.637 0.367 0.607
Zr 0.966 0.700 0.233
Zr 0.968 0.697 0.736
Si 0.001 0.331 0.670
Si 0.264 0.398 0.835
Si 0.299 0.334 0.169
Si 0.299 0.732 0.670
Si 0.600 0.729 0.169
Si 0.668 0.993 0.335
Si 0.923 0.364 0.002
Si 0.928 0.070 0.504
Si 0.967 0.993 0.835
P 0.257 0.699 0.335
P 0.340 0.363 0.504
P 0.344 0.652 0.001
P 0.596 0.030 0.669
P 0.632 0.077 0.003
P 0.632 0.657 0.503
P 0.668 0.699 0.836
P 0.966 0.405 0.335
P 0.997 0.031 0.169
O 0.004 0.884 0.893
O 0.070 0.066 0.222
O 0.094 0.205 0.724
O 0.103 0.002 0.115
O 0.105 0.195 0.004
O 0.113 0.051 0.507
O 0.113 0.259 0.612
O 0.117 0.229 0.329
O 0.130 0.515 0.178
O 0.130 0.716 0.679
O 0.134 0.013 0.827
O 0.150 0.472 0.893
O 0.157 0.722 0.391
O 0.166 0.519 0.500
O 0.166 0.674 0.284
O 0.170 0.523 0.781
O 0.170 0.670 0.999
O 0.258 0.257 0.113
O 0.260 0.843 0.613
O 0.270 0.857 0.330
O 0.279 0.217 0.825
O 0.325 0.825 0.726
O 0.326 0.205 0.508
O 0.329 0.825 0.006
O 0.336 0.219 0.226
O 0.428 0.388 0.556
O 0.432 0.541 0.054
O 0.432 0.543 0.338
O 0.441 0.341 0.449
O 0.441 0.396 0.842
O 0.451 0.567 0.947
O 0.457 0.542 0.663
O 0.471 0.340 0.160
O 0.475 0.059 0.006
O 0.476 0.060 0.719
O 0.480 0.832 0.509
O 0.483 0.012 0.332
O 0.491 0.848 0.827
O 0.492 0.805 0.227
O 0.525 0.845 0.112
O 0.526 0.003 0.613
O 0.603 0.584 0.448
O 0.608 0.189 0.950
O 0.609 0.192 0.664
O 0.632 0.539 0.162
O 0.652 0.539 0.842
O 0.652 0.541 0.554
O 0.654 0.161 0.057
O 0.654 0.176 0.336
O 0.739 0.727 0.891
O 0.749 0.882 0.392
O 0.772 0.882 0.678
O 0.787 0.668 0.785
O 0.787 0.711 0.177
O 0.789 0.904 0.998
O 0.791 0.896 0.280
O 0.794 0.665 0.501
O 0.804 0.396 0.338
O 0.805 0.168 0.559
O 0.806 0.183 0.841
O 0.806 0.385 0.058
O 0.821 0.187 0.161
O 0.822 0.335 0.663
O 0.826 0.343 0.946
O 0.848 0.180 0.446
O 0.937 0.533 0.001
O 0.939 0.903 0.779
O 0.942 0.887 0.502
O 0.945 0.516 0.282
O 0.972 0.879 0.176
O 0.985 0.513 0.680
O 0.995 0.480 0.390


## BeCl2 (PBE-GGA)

Data for a geometry-optimized BeCl2 structure.

The value obtained for the energy relative to the lowest polymorph listed for this composition is 9 meV/atom. The value obtained for the MP2020-corrected energy is -413.50 eV per cell. The uncorrected energy is -3.8980 eV/atom. The calculation puts the energy of formation at -1.828 eV/atom.

Unit cell a=11.166 b=11.166 c=18.142 alpha=90.00 beta=90.00 gamma=90.00
Space group I4_1/acd (No. 142, origin choice 2)
Asymmetric unit:
Be 0.077 0.125 0.311
Cl 0.000 0.250 0.006
Cl 0.048 0.043 0.875
Cl 0.166 0.000 0.250


## Sr5Bi3 (PBE-GGA)

Data for a geometry-optimized Sr5Bi3 structure.

The value obtained for the energy relative to the lowest polymorph listed for this composition is 10 meV/atom. The uncorrected energy is -3.3781 eV/atom. The calculation puts the energy of formation at -0.863 eV/atom.

Unit cell a=13.647 b=10.342 c=8.946 alpha=90.00 beta=90.00 gamma=90.00
Space group Pnma (No. 62)
Asymmetric unit:
Sr 0.005 0.250 0.038
Sr 0.078 0.040 0.692
Sr 0.207 0.750 0.349
Sr 0.226 0.250 0.323
Bi 0.015 0.750 0.576
Bi 0.171 0.512 0.064


## Mg3Sb2O7 (PBE-GGA)

Data for a geometry-optimized Mg3Sb2O7 structure.

As for the magnetic moment: 0.0 μB per formula unit. The value obtained for the MP2020-corrected energy is -301.78 eV per cell. The uncorrected energy is -5.8864 eV/atom. The calculation puts the energy of formation at -2.313 eV/atom.

Unit cell a=18.848 b=5.522 c=5.572 alpha=90.00 beta=90.00 gamma=90.00
Space group Cmc2_1 (No. 36)
Asymmetric unit:
Mg 0.000 0.244 0.000
Mg 0.201 0.292 0.058
Sb 0.105 0.237 0.507
O 0.000 0.087 0.665
O 0.082 0.425 0.162
O 0.144 0.082 0.816
O 0.207 0.361 0.432


## K5Li3Ti8As8O40 (PBE-GGA)

Data for a geometry-optimized K5Li3Ti8As8O40 structure.

As for the magnetic moment: 0.0 μB per formula unit. The value obtained for the MP2020-corrected energy is -473.22 eV per cell. The uncorrected energy is -6.9646 eV/atom. The calculation puts the energy of formation at -2.556 eV/atom.

Unit cell a=6.687 b=10.894 c=13.196 alpha=89.98 beta=89.95 gamma=89.63
Space group P1 (No. 1)
Asymmetric unit:
K 0.000 0.000 0.000
K 0.012 0.245 0.219
K 0.414 0.506 0.223
K 0.502 0.504 0.723
K 0.900 0.004 0.507
Li 0.139 0.283 0.717
Li 0.263 0.782 0.510
Li 0.638 0.783 0.010
Ti 0.188 0.312 0.482
Ti 0.216 0.813 0.747
Ti 0.432 0.066 0.357
Ti 0.479 0.068 0.857
Ti 0.686 0.812 0.245
Ti 0.714 0.314 0.984
Ti 0.924 0.566 0.372
Ti 0.977 0.567 0.872
As 0.032 0.555 0.619
As 0.186 0.808 0.297
As 0.217 0.308 0.931
As 0.370 0.054 0.611
As 0.532 0.056 0.109
As 0.685 0.308 0.431
As 0.716 0.808 0.796
As 0.871 0.555 0.117
O 0.015 0.267 0.004
O 0.017 0.545 0.225
O 0.035 0.573 0.017
O 0.137 0.434 0.398
O 0.144 0.694 0.387
O 0.160 0.417 0.615
O 0.160 0.682 0.835
O 0.171 0.428 0.848
O 0.200 0.172 0.607
O 0.203 0.672 0.621
O 0.231 0.929 0.379
O 0.239 0.183 0.391
O 0.241 0.916 0.614
O 0.257 0.194 0.840
O 0.264 0.936 0.828
O 0.367 0.074 0.209
O 0.384 0.048 0.002
O 0.391 0.768 0.227
O 0.414 0.338 0.009
O 0.484 0.337 0.508
O 0.512 0.768 0.726
O 0.514 0.047 0.503
O 0.533 0.071 0.710
O 0.637 0.937 0.327
O 0.646 0.190 0.346
O 0.658 0.916 0.114
O 0.659 0.182 0.893
O 0.671 0.928 0.880
O 0.702 0.673 0.122
O 0.707 0.169 0.103
O 0.728 0.433 0.353
O 0.742 0.683 0.334
O 0.743 0.419 0.112
O 0.757 0.694 0.887
O 0.767 0.435 0.901
O 0.871 0.572 0.518
O 0.887 0.549 0.726
O 0.892 0.268 0.500
O 0.916 0.838 0.720
O 0.986 0.839 0.221


## MgTi2Zn4O8 (PBE-GGA)

Data for a geometry-optimized MgTi2Zn4O8 structure.

The value obtained for the energy relative to the lowest polymorph listed for this composition is 0 meV/atom. As for the magnetic moment: 0.2 μB per formula unit. The value obtained for the MP2020-corrected energy is -191.97 eV per cell. The uncorrected energy is -6.0327 eV/atom. The calculation puts the energy of formation at -2.265 eV/atom.

Unit cell a=10.507 b=5.897 c=6.403 alpha=90.00 beta=123.03 gamma=90.00
Space group C2/m (No. 12)
Asymmetric unit:
Mg 0.000 0.000 0.000
Ti 0.250 0.250 0.000
Zn 0.000 0.500 0.000
Zn 0.000 0.500 0.500
Zn 0.143 0.000 0.454
O 0.016 0.247 0.768
O 0.231 0.500 0.198
O 0.237 0.000 0.226


## CsAl (PBE-GGA)

Data for a geometry-optimized CsAl structure.

The value obtained for the energy relative to the lowest polymorph listed for this composition is 238 meV/atom. As for the magnetic moment: 0.0 μB per formula unit. The uncorrected energy is -1.8119 eV/atom. The calculation puts the energy of formation at 0.509 eV/atom.

Unit cell a=8.355 b=8.355 c=8.355 alpha=90.00 beta=90.00 gamma=90.00
Space group Fd-3m (No. 227, origin choice 2)
Asymmetric unit:
Cs 0.125 0.125 0.125
Al 0.125 0.125 0.625


## Eu2ZnGe3 (PBE-GGA)

Data for a geometry-optimized Eu2ZnGe3 structure.

The value obtained for the energy relative to the lowest polymorph listed for this composition is 0 meV/atom. The uncorrected energy is -6.5161 eV/atom. The calculation puts the energy of formation at -0.576 eV/atom.

Unit cell a=4.2884 b=4.2884 c=17.7203 alpha=90.00 beta=90.00 gamma=120.00
Space group P6_3/mmc (No. 194)
Asymmetric unit:
Eu 0.0000 0.0000 0.1286
Zn 0.3333 0.6667 0.2500
Ge 0.3333 0.6667 0.0249
Ge 0.3333 0.6667 0.7500